First-principles (PBE) data for crystalline Lu2ZnAu at its relaxed geometry, as listed in the Materials Project database.

## Properties
SG: Fm-3m, No. 225

Unit cell a=4.968 b=4.968 c=4.968 alpha=60.00 beta=60.00 gamma=60.00
Positions (direct):
Lu 0.250 0.250 0.250
Lu 0.750 0.750 0.750
Zn 0.000 0.000 0.000
Au 0.500 0.500 0.500

---

First-principles (PBE) data for crystalline MgAu2 at its relaxed geometry, as listed in the Materials Project database.

## Properties
SG: Cmcm, No. 63

Unit cell a=7.195 b=7.195 c=4.523 alpha=90.00 beta=90.00 gamma=152.09
Positions (direct):
Mg 0.100 0.900 0.750
Mg 0.900 0.100 0.250
Au 0.234 0.766 0.250
Au 0.436 0.564 0.750
Au 0.564 0.436 0.250
Au 0.766 0.234 0.750

---

First-principles (PBE) data for crystalline MgAu3 at its relaxed geometry, as listed in the Materials Project database.

## Properties
SG: Cmcm, No. 63

Unit cell a=10.527 b=10.527 c=9.601 alpha=90.00 beta=90.00 gamma=147.43
Positions (direct):
Mg 0.041 0.959 0.750
Mg 0.207 0.793 0.250
Mg 0.376 0.624 0.501
Mg 0.376 0.624 0.999
Mg 0.624 0.376 0.001
Mg 0.624 0.376 0.499
Mg 0.793 0.207 0.750
Mg 0.959 0.041 0.250
Au 0.000 0.500 0.000
Au 0.000 0.500 0.500
Au 0.085 0.419 0.250
Au 0.126 0.874 0.501
Au 0.126 0.874 0.999
Au 0.166 0.334 0.750
Au 0.248 0.248 0.000
Au 0.248 0.248 0.500
Au 0.292 0.708 0.750
Au 0.334 0.166 0.250
Au 0.419 0.085 0.750
Au 0.456 0.544 0.250
Au 0.500 0.000 0.000
Au 0.500 0.000 0.500
Au 0.544 0.456 0.750
Au 0.581 0.915 0.250
Au 0.666 0.834 0.750
Au 0.708 0.292 0.250
Au 0.752 0.752 0.000
Au 0.752 0.752 0.500
Au 0.834 0.666 0.250
Au 0.874 0.126 0.001
Au 0.874 0.126 0.499
Au 0.915 0.581 0.750

---

First-principles (PBE) data for crystalline Mg13Au41 at its relaxed geometry, as listed in the Materials Project database.

## Properties
SG: P6_3/mcm, No. 193

Unit cell a=15.234 b=15.234 c=9.622 alpha=90.00 beta=90.00 gamma=120.00
Positions (direct):
Mg 0.000 0.000 0.000
Mg 0.000 0.000 0.500
Mg 0.000 0.224 0.250
Mg 0.000 0.445 0.750
Mg 0.000 0.555 0.250
Mg 0.000 0.776 0.750
Mg 0.223 0.446 0.000
Mg 0.223 0.446 0.500
Mg 0.223 0.777 0.000
Mg 0.223 0.777 0.500
Mg 0.224 0.000 0.250
Mg 0.224 0.224 0.750
Mg 0.445 0.000 0.750
Mg 0.445 0.445 0.250
Mg 0.446 0.223 0.000
Mg 0.446 0.223 0.500
Mg 0.554 0.777 0.000
Mg 0.554 0.777 0.500
Mg 0.555 0.000 0.250
Mg 0.555 0.555 0.750
Mg 0.776 0.000 0.750
Mg 0.776 0.776 0.250
Mg 0.777 0.223 0.000
Mg 0.777 0.223 0.500
Mg 0.777 0.554 0.000
Mg 0.777 0.554 0.500
Au 0.000 0.110 0.750
Au 0.000 0.332 0.501
Au 0.000 0.332 0.999
Au 0.000 0.668 0.001
Au 0.000 0.668 0.499
Au 0.000 0.890 0.250
Au 0.110 0.000 0.750
Au 0.110 0.110 0.250
Au 0.110 0.444 0.250
Au 0.110 0.555 0.000
Au 0.110 0.555 0.500
Au 0.110 0.666 0.750
Au 0.111 0.222 0.000
Au 0.111 0.222 0.500
Au 0.111 0.889 0.000
Au 0.111 0.889 0.500
Au 0.112 0.333 0.750
Au 0.112 0.779 0.250
Au 0.221 0.333 0.250
Au 0.221 0.551 0.750
Au 0.221 0.669 0.250
Au 0.221 0.888 0.750
Au 0.222 0.111 0.000
Au 0.222 0.111 0.500
Au 0.331 0.551 0.250
Au 0.331 0.779 0.750
Au 0.332 0.000 0.501
Au 0.332 0.000 0.999
Au 0.332 0.332 0.001
Au 0.332 0.332 0.499
Au 0.333 0.112 0.750
Au 0.333 0.221 0.250
Au 0.333 0.667 0.000
Au 0.333 0.667 0.500
Au 0.334 0.444 0.750
Au 0.334 0.890 0.250
Au 0.444 0.110 0.250
Au 0.444 0.334 0.750
Au 0.445 0.555 0.000
Au 0.445 0.555 0.500
Au 0.445 0.890 0.000
Au 0.445 0.890 0.500
Au 0.449 0.669 0.750
Au 0.449 0.779 0.250
Au 0.551 0.221 0.750
Au 0.551 0.331 0.250
Au 0.555 0.110 0.000
Au 0.555 0.110 0.500
Au 0.555 0.445 0.000
Au 0.555 0.445 0.500
Au 0.556 0.666 0.250
Au 0.556 0.890 0.750
Au 0.666 0.110 0.750
Au 0.666 0.556 0.250
Au 0.667 0.333 0.000
Au 0.667 0.333 0.500
Au 0.667 0.779 0.750
Au 0.667 0.888 0.250
Au 0.668 0.000 0.001
Au 0.668 0.000 0.499
Au 0.668 0.668 0.501
Au 0.668 0.668 0.999
Au 0.669 0.221 0.250
Au 0.669 0.449 0.750
Au 0.778 0.889 0.000
Au 0.778 0.889 0.500
Au 0.779 0.112 0.250
Au 0.779 0.331 0.750
Au 0.779 0.449 0.250
Au 0.779 0.667 0.750
Au 0.888 0.221 0.750
Au 0.888 0.667 0.250
Au 0.889 0.111 0.000
Au 0.889 0.111 0.500
Au 0.889 0.778 0.000
Au 0.889 0.778 0.500
Au 0.890 0.000 0.250
Au 0.890 0.334 0.250
Au 0.890 0.445 0.000
Au 0.890 0.445 0.500
Au 0.890 0.556 0.750
Au 0.890 0.890 0.750

---

What did we get for theoretical density? Answer: 11.729; 12.674; 14.270; 14.412 g/cm³, in the order shown.
What did we get for calculated formation energy? Answer: -61.41; -44.33; -39.16; -37.95 kJ per mole of atoms, in the order shown.
What did we get for E? Answer: -4.030; -3.175; -3.261; -3.264 eV per atom, in the order shown.